1.
Below is crystalline Ba2Tl2Zn3Cu4O12 at its relaxed geometry, with properties calculated at the PBE-GGA level.

Calculated values
The calculated density is 7.2 Mg/m³. Its crystal system is tetragonal. The magnetization is 0.0 μB/cell.

abc: 20.946 20.946 20.946
angles: 169.52 169.52 14.83
Positions (direct):
Cu1 0.604 0.604 0.000
Cu2 0.396 0.396 0.000
Cu3 0.536 0.536 0.000
Cu4 0.464 0.464 0.000
Tl1 0.723 0.723 0.000
Tl2 0.277 0.277 0.000
Zn1 0.073 0.073 0.000
Zn2 0.927 0.927 0.000
Zn3 0.000 0.000 0.000
O1 0.327 0.327 0.000
O2 0.465 0.965 0.500
O3 0.035 0.535 0.500
O4 0.965 0.465 0.500
O5 0.396 0.896 0.500
O6 0.535 0.035 0.500
O7 0.774 0.774 0.000
O8 0.673 0.673 0.000
O9 0.104 0.604 0.500
O10 0.604 0.104 0.500
O11 0.226 0.226 0.000
O12 0.896 0.396 0.500
Ba1 0.154 0.154 0.000
Ba2 0.846 0.846 0.000

2.
Below is crystalline Co3Cu at its relaxed geometry, with properties calculated at the PBE-GGA level.

Calculated values
The calculated density is 9.0 Mg/m³. Its crystal system is tetragonal. The magnetization is 5.0 μB/cell.

abc: 4.343 4.343 4.343
angles: 131.87 131.87 70.44
Positions (direct):
Co1 0.750 0.250 0.500
Co2 0.250 0.750 0.500
Co3 0.500 0.500 0.000
Cu1 0.000 0.000 0.000

3.
Below is crystalline ScSiPd at its relaxed geometry, with properties calculated at the PBE-GGA level.

Calculated values
The calculated density is 5.9 Mg/m³. Its crystal system is orthorhombic.

abc: 4.098 6.593 7.481
angles: 90.00 90.00 90.00
Positions (direct):
Pd1 0.750 0.828 0.072
Pd2 0.250 0.172 0.928
Pd3 0.250 0.672 0.572
Pd4 0.750 0.328 0.428
Si1 0.750 0.218 0.108
Si2 0.750 0.718 0.392
Si3 0.250 0.282 0.608
Si4 0.250 0.782 0.892
Sc1 0.250 0.509 0.193
Sc2 0.250 0.009 0.307
Sc3 0.750 0.991 0.693
Sc4 0.750 0.491 0.807

4.
Below is crystalline EuAu2 at its relaxed geometry, with properties calculated at the PBE-GGA level.

Calculated values
The calculated density is 12.0 Mg/m³. Its crystal system is orthorhombic.

abc: 6.098 6.098 6.098
angles: 133.10 104.92 93.40
Positions (direct):
Au1 0.615 0.163 0.452
Au2 0.788 0.837 0.952
Au3 0.212 0.163 0.048
Au4 0.385 0.837 0.548
Eu1 0.790 0.540 0.250
Eu2 0.210 0.460 0.750

5.
Below is crystalline CaGaBiB2O7 at its relaxed geometry, with properties calculated at the PBE-GGA level.

Calculated values
The calculated density is 5.5 Mg/m³. Its crystal system is orthorhombic. Its excess energy over the best structure of this formula in the dataset is 0.000 eV per formula unit. The magnetization is 0.0 μB/cell.

abc: 7.486 7.486 4.833
angles: 90.00 90.00 90.03
Positions (direct):
B1 0.135 0.865 0.053
B2 0.865 0.135 0.053
B3 0.630 0.630 0.942
B4 0.370 0.370 0.942
O1 0.306 0.922 0.202
O2 0.078 0.694 0.202
O3 0.806 0.578 0.791
O4 0.852 0.148 0.761
O5 0.694 0.078 0.202
O6 0.422 0.194 0.791
O7 0.922 0.306 0.202
O8 0.578 0.806 0.791
O9 0.500 0.500 0.839
O10 0.357 0.357 0.238
O11 0.000 0.000 0.151
O12 0.194 0.422 0.791
O13 0.148 0.852 0.761
O14 0.643 0.643 0.238
Ga1 0.500 0.000 0.997
Ga2 0.000 0.500 0.997
Bi1 0.167 0.167 0.501
Bi2 0.833 0.833 0.501
Ca1 0.337 0.663 0.494
Ca2 0.663 0.337 0.494

It is found that the formation energy values, taken in the order of the records, are -1.389, 0.119, -0.981, -0.754, -2.654 eV/atom.